--- A ---
First-principles (PBE+U) data for an optimized crystal structure of KPrEuWO6, as listed in the Materials Project.

Cell: 6.0742 6.0742 6.0742 Å, 60.00 60.00 60.00°
Last column: nearest neighbours and their distance in Å.
Fractional positions:
O: 0.2727 0.2727 0.7273  1 W 1.95
O: 0.2727 0.7273 0.7273  1 W 1.95
O: 0.7273 0.2727 0.2727  1 W 1.95
O: 0.2727 0.7273 0.2727  1 W 1.95
O: 0.7273 0.7273 0.2727  1 W 1.95
O: 0.7273 0.2727 0.7273  1 W 1.95
K: 0.2500 0.2500 0.2500  12 O 3.04
W: 0.5000 0.5000 0.5000  6 O 1.95
Eu: 0.7500 0.7500 0.7500  12 O 3.04
Pr: 0.0000 0.0000 0.0000  6 O 2.34

***

--- B ---
First-principles (PBE+U) data for an optimized crystal structure of KPrEuWO6, as listed in the Materials Project.

Cell: 8.5548 8.5112 8.5107 Å, 90.00 90.00 90.00°
Last column: nearest neighbours and their distance in Å.
Fractional positions:
Pr: 0.7500 0.7500 0.7500  6 O 2.36-2.38
Pr: 0.2500 0.2500 0.7500  6 O 2.36-2.38
Pr: 0.2500 0.7500 0.2500  6 O 2.36-2.38
Pr: 0.7500 0.2500 0.2500  6 O 2.36-2.38
K: 0.0000 0.5000 0.5000  4 O 2.71
K: 0.5000 0.0000 0.0000  4 O 2.71
K: 0.0000 0.5000 0.0000  4 O 2.69
K: 0.5000 0.0000 0.5000  4 O 2.69
Eu: 0.0000 0.0000 0.0000  12 O 2.97-3.01
Eu: 0.5000 0.5000 0.5000  12 O 2.97-3.01
Eu: 0.0000 0.0000 0.5000  4 O 2.60
Eu: 0.5000 0.5000 0.0000  4 O 2.60
O: 0.7698 0.5243 0.2818  1 W 1.95
O: 0.9769 0.7914 0.2783  1 W 1.99
O: 0.2801 0.2248 0.4759  1 W 1.95
O: 0.5231 0.7086 0.2217  1 W 1.99
O: 0.2698 0.9757 0.7818  1 W 1.95
O: 0.4769 0.2914 0.2217  1 W 1.99
O: 0.5231 0.2914 0.7783  1 W 1.99
O: 0.7199 0.2248 0.5241  1 W 1.95
O: 0.7801 0.7248 0.0241  1 W 1.95
O: 0.2698 0.0243 0.2182  1 W 1.95
O: 0.2199 0.7248 0.9759  1 W 1.95
O: 0.0231 0.7914 0.7217  1 W 1.99
O: 0.2199 0.2752 0.0241  1 W 1.95
O: 0.2302 0.5243 0.7182  1 W 1.95
O: 0.4769 0.7086 0.7783  1 W 1.99
O: 0.7801 0.2752 0.9759  1 W 1.95
O: 0.2801 0.7752 0.5241  1 W 1.95
O: 0.7302 0.0243 0.7818  1 W 1.95
O: 0.9769 0.2086 0.7217  1 W 1.99
O: 0.7199 0.7752 0.4759  1 W 1.95
O: 0.7302 0.9757 0.2182  1 W 1.95
O: 0.7698 0.4757 0.7182  1 W 1.95
O: 0.2302 0.4757 0.2818  1 W 1.95
O: 0.0231 0.2086 0.2783  1 W 1.99
W: 0.2500 0.7500 0.7500  6 O 1.95-1.99
W: 0.7500 0.2500 0.7500  6 O 1.95-1.99
W: 0.2500 0.2500 0.2500  6 O 1.95-1.99
W: 0.7500 0.7500 0.2500  6 O 1.95-1.99

***

Stability check: which of them is most stable? B.

***

--- A ---
First-principles (PBE+U) data for an optimized crystal structure of Li2Ti3FeO8, as listed in the Materials Project.

Cell: 5.9609 9.8705 10.2924 Å, 90.02 90.05 90.02°
Last column: nearest neighbours and their distance in Å.
Fractional positions:
O: 0.5001 0.3277 0.0185  2 Ti 1.97, 1 Li 2.00
O: 0.7647 0.1085 0.9214  1 Li 1.94, 2 Ti 1.99, 1 Fe 2.14
O: 0.2336 0.1085 0.9226  1 Li 1.94, 2 Ti 1.97-1.99
O: 0.9998 0.6059 0.3334  3 Ti 2.00-2.03, 1 Li 2.13
O: 0.4995 0.6076 0.3421  1 Li 1.95, 2 Ti 1.99, 1 Fe 2.12
O: 0.9997 0.3156 0.0006  1 Li 1.81, 3 Ti 1.99-2.01
O: 0.7749 0.8261 0.2583  2 Ti 1.96, 1 Li 1.99
O: 0.2654 0.1086 0.4218  1 Li 1.94, 2 Ti 1.98, 1 Fe 2.16
O: 0.7661 0.6086 0.0778  1 Li 1.94, 2 Ti 1.98, 1 Fe 2.17
O: 0.5000 0.1058 0.1666  3 Ti 2.00-2.03, 1 Li 2.13
O: 0.5009 0.1077 0.6574  1 Li 1.95, 2 Ti 1.98-2.00, 1 Fe 2.13
O: 0.5000 0.8157 0.4992  1 Li 1.81, 3 Ti 1.99-2.01
O: 0.4998 0.6059 0.8333  3 Ti 2.01-2.03, 1 Li 2.13
O: 0.9997 0.8277 0.4816  2 Ti 1.97, 1 Li 2.00
O: 0.2261 0.8255 0.2582  2 Ti 1.95-1.96, 1 Li 1.99
O: 0.2343 0.6087 0.0782  1 Li 1.94, 2 Ti 1.98, 1 Fe 2.16
O: 0.7750 0.3262 0.7416  2 Ti 1.96, 1 Li 1.99
O: 0.2759 0.8270 0.7589  2 Ti 1.96-1.97, 1 Li 2.00
O: 0.2655 0.6089 0.5784  1 Li 1.94, 2 Ti 1.98-1.99, 1 Fe 2.16
O: 0.0000 0.1058 0.6666  3 Ti 2.01-2.03, 1 Li 2.13
O: 0.5002 0.8271 0.9820  2 Ti 1.96-1.97, 1 Li 2.00
O: 0.0009 0.6075 0.8422  1 Li 1.95, 2 Ti 1.98-2.00, 1 Fe 2.12
O: 0.7339 0.1088 0.4221  1 Li 1.94, 2 Ti 1.97-1.98, 1 Fe 2.17
O: 0.7338 0.6085 0.5776  1 Li 1.94, 2 Ti 1.97-1.98, 1 Fe 2.17
O: 0.9999 0.1075 0.1578  1 Li 1.95, 2 Ti 1.99, 1 Fe 2.12
O: 0.4997 0.3157 0.5007  1 Li 1.81, 3 Ti 1.99-2.01
O: 0.2742 0.3256 0.2421  2 Ti 1.96, 1 Li 1.99
O: 0.7255 0.3260 0.2414  2 Ti 1.95-1.97, 1 Li 1.99
O: 0.0002 0.3277 0.5186  2 Ti 1.96-1.97, 1 Li 2.00
O: 0.7264 0.8251 0.7577  2 Ti 1.95-1.96, 1 Li 1.99
O: 0.0000 0.8157 0.9993  1 Li 1.81, 3 Ti 1.99-2.01
O: 0.2263 0.3251 0.7423  2 Ti 1.96, 1 Li 1.99
Ti: 0.2460 0.2149 0.5847  6 O 1.96-2.01
Ti: 0.7523 0.2146 0.5846  6 O 1.96-2.01
Ti: 0.2529 0.2150 0.0843  6 O 1.96-2.01
Ti: 0.5002 0.7164 0.6672  6 O 1.96-2.03
Ti: 0.0000 0.2167 0.8324  6 O 1.96-2.03
Ti: 0.7535 0.7145 0.4154  6 O 1.96-2.01
Ti: 0.7463 0.2146 0.0851  6 O 1.95-2.01
Ti: 0.2469 0.7156 0.4150  6 O 1.95-2.01
Ti: 0.9995 0.7164 0.1672  6 O 1.96-2.03
Ti: 0.7463 0.7157 0.9153  6 O 1.95-2.01
Ti: 0.4993 0.2167 0.3327  6 O 1.96-2.03
Ti: 0.2530 0.7143 0.9151  6 O 1.96-2.01
Li: 0.4999 0.9990 0.4996  4 O 1.81-1.95
Li: 0.4993 0.4990 0.5001  4 O 1.81-1.95
Li: 0.9996 0.9990 0.9998  4 O 1.81-1.95
Li: 0.0008 0.8903 0.6664  4 O 1.99-2.13
Li: 0.9999 0.4990 0.0002  4 O 1.81-1.95
Li: 0.5007 0.3902 0.8338  4 O 1.99-2.13
Li: 0.9999 0.3902 0.3337  4 O 1.99-2.13
Li: 0.5002 0.8903 0.1665  4 O 1.99-2.13
Fe: 0.5014 0.9929 0.8325  6 O 2.13-2.27
Fe: 0.0006 0.4925 0.6681  6 O 2.12-2.26
Fe: 0.0005 0.9929 0.3318  6 O 2.12-2.26
Fe: 0.4996 0.4928 0.1681  6 O 2.12-2.26

***

--- B ---
First-principles (PBE+U) data for an optimized crystal structure of Li2Ti3FeO8, as listed in the Materials Project.

Cell: 8.4965 8.4965 8.4965 Å, 90.00 90.00 90.00°
Last column: nearest neighbours and their distance in Å.
Fractional positions:
O: 0.3905 0.1033 0.1268  2 Ti 1.87-1.98, 1 Li 2.03
O: 0.8905 0.3967 0.8732  2 Ti 1.87-1.98, 1 Li 2.03
O: 0.8732 0.8905 0.3967  2 Ti 1.87-1.98, 1 Li 2.03
O: 0.1461 0.8590 0.1223  2 Ti 1.93-2.03, 1 Fe 2.02, 1 Li 2.15
O: 0.3893 0.3893 0.3893  1 Li 2.00, 3 Ti 2.03
O: 0.8967 0.6268 0.1095  2 Ti 1.87-1.98, 1 Li 2.03
O: 0.8590 0.1223 0.1461  2 Ti 1.93-2.03, 1 Fe 2.02, 1 Li 2.15
O: 0.1386 0.3614 0.6386  1 Fe 2.02, 3 Ti 2.09
O: 0.1268 0.3905 0.1033  2 Ti 1.87-1.98, 1 Li 2.03
O: 0.3732 0.6095 0.6033  2 Ti 1.87-1.98, 1 Li 2.03
O: 0.6107 0.8893 0.1107  1 Li 2.00, 3 Ti 2.03
O: 0.8614 0.8614 0.8614  1 Fe 2.02, 3 Ti 2.09
O: 0.8777 0.6461 0.6410  2 Ti 1.93-2.03, 1 Fe 2.02, 1 Li 2.15
O: 0.8539 0.3590 0.3777  2 Ti 1.93-2.03, 1 Fe 2.02, 1 Li 2.15
O: 0.3967 0.8732 0.8905  2 Ti 1.87-1.98, 1 Li 2.03
O: 0.6033 0.3732 0.6095  2 Ti 1.87-1.98, 1 Li 2.03
O: 0.3539 0.1410 0.6223  2 Ti 1.93-2.03, 1 Fe 2.02, 1 Li 2.15
O: 0.8893 0.1107 0.6107  1 Li 2.00, 3 Ti 2.03
O: 0.3590 0.3777 0.8539  2 Ti 1.93-2.03, 1 Fe 2.02, 1 Li 2.15
O: 0.6410 0.8777 0.6461  2 Ti 1.93-2.03, 1 Fe 2.02, 1 Li 2.15
O: 0.1107 0.6107 0.8893  1 Li 2.00, 3 Ti 2.03
O: 0.1095 0.8967 0.6268  2 Ti 1.87-1.98, 1 Li 2.03
O: 0.3777 0.8539 0.3590  2 Ti 1.93-2.03, 1 Fe 2.02, 1 Li 2.15
O: 0.6223 0.3539 0.1410  2 Ti 1.93-2.03, 1 Fe 2.02, 1 Li 2.15
O: 0.1033 0.1268 0.3905  2 Ti 1.87-1.98, 1 Li 2.03
O: 0.6268 0.1095 0.8967  2 Ti 1.87-1.98, 1 Li 2.03
O: 0.6461 0.6410 0.8777  2 Ti 1.93-2.03, 1 Fe 2.02, 1 Li 2.15
O: 0.1223 0.1461 0.8590  2 Ti 1.93-2.03, 1 Fe 2.02, 1 Li 2.15
O: 0.1410 0.6223 0.3539  2 Ti 1.93-2.03, 1 Fe 2.02, 1 Li 2.15
O: 0.6386 0.1386 0.3614  1 Fe 2.02, 3 Ti 2.09
O: 0.6095 0.6033 0.3732  2 Ti 1.87-1.98, 1 Li 2.03
O: 0.3614 0.6386 0.1386  1 Fe 2.02, 3 Ti 2.09
Li: 0.7467 0.7533 0.2467  4 O 2.00-2.03
Li: 0.1260 0.8740 0.3740  6 O 2.15-2.16
Li: 0.6260 0.6260 0.6260  6 O 2.15-2.16
Li: 0.2533 0.2533 0.2533  4 O 2.00-2.03
Li: 0.3740 0.1260 0.8740  6 O 2.15-2.16
Li: 0.8740 0.3740 0.1260  6 O 2.15-2.16
Li: 0.7533 0.2467 0.7467  4 O 2.00-2.03
Li: 0.2467 0.7467 0.7533  4 O 2.00-2.03
Ti: 0.6284 0.3836 0.3782  6 O 1.87-2.09
Ti: 0.1164 0.6218 0.1284  6 O 1.87-2.09
Ti: 0.6164 0.8782 0.8716  6 O 1.87-2.09
Ti: 0.8716 0.6164 0.8782  6 O 1.87-2.09
Ti: 0.8782 0.8716 0.6164  6 O 1.87-2.09
Ti: 0.8836 0.1218 0.3716  6 O 1.87-2.09
Ti: 0.3836 0.3782 0.6284  6 O 1.87-2.09
Ti: 0.1218 0.3716 0.8836  6 O 1.87-2.09
Ti: 0.3716 0.8836 0.1218  6 O 1.87-2.09
Ti: 0.3782 0.6284 0.3836  6 O 1.87-2.09
Ti: 0.6218 0.1284 0.1164  6 O 1.87-2.09
Ti: 0.1284 0.1164 0.6218  6 O 1.87-2.09
Fe: 0.5015 0.0015 0.4985  4 O 2.02
Fe: 0.0015 0.4985 0.5015  4 O 2.02
Fe: 0.9985 0.9985 0.9985  4 O 2.02
Fe: 0.4985 0.5015 0.0015  4 O 2.02

***

Stability check: which of them is most stable? A.

***

--- A ---
First-principles (PBE+U) data for an optimized crystal structure of LiFe2OF3, as listed in the Materials Project.

Cell: 6.2244 6.2294 8.8426 Å, 90.00 90.00 90.00°
Last column: nearest neighbours and their distance in Å.
Fractional positions:
Fe: 0.5000 0.5000 0.0000  2 O 1.99
Fe: 0.0000 0.0000 0.5000  2 O 1.99
Fe: 0.7500 0.2486 0.2610  1 O 1.98, 5 F 2.08-2.20
Fe: 0.2500 0.2514 0.7610  1 O 1.98, 5 F 2.08-2.20
Fe: 0.7500 0.7486 0.2390  1 O 1.98, 5 F 2.08-2.20
Fe: 0.0000 0.5000 0.0000  2 O 1.99
Fe: 0.2500 0.7514 0.7390  1 O 1.98, 5 F 2.08-2.20
Fe: 0.5000 0.0000 0.5000  2 O 1.99
O: 0.7500 0.1981 0.4818  3 Fe 1.98-1.99, 1 Li 2.02
O: 0.2500 0.8019 0.5182  3 Fe 1.98-1.99, 1 Li 2.02
O: 0.2500 0.3019 0.9818  3 Fe 1.98-1.99, 1 Li 2.02
O: 0.7500 0.6981 0.0182  3 Fe 1.98-1.99, 1 Li 2.02
F: 0.0034 0.0035 0.7554  1 Li 2.00, 2 Fe 2.18-2.20
F: 0.2500 0.7631 0.9743  1 Li 2.05, 3 Fe 2.08-2.27
F: 0.4966 0.0035 0.7554  1 Li 2.00, 2 Fe 2.18-2.20
F: 0.0034 0.5035 0.7446  1 Li 2.00, 2 Fe 2.18-2.20
F: 0.9966 0.9965 0.2446  1 Li 2.00, 2 Fe 2.18-2.20
F: 0.7500 0.2369 0.0257  1 Li 2.05, 3 Fe 2.08-2.27
F: 0.5034 0.9965 0.2446  1 Li 2.00, 2 Fe 2.18-2.20
F: 0.7500 0.7369 0.4743  1 Li 2.05, 3 Fe 2.08-2.27
F: 0.2500 0.2631 0.5257  1 Li 2.05, 3 Fe 2.08-2.27
F: 0.5034 0.4965 0.2554  1 Li 2.00, 2 Fe 2.18-2.20
F: 0.9966 0.4965 0.2554  1 Li 2.00, 2 Fe 2.18-2.20
F: 0.4966 0.5035 0.7446  1 Li 2.00, 2 Fe 2.18-2.20
Li: 0.7500 0.9680 0.8921  3 F 2.00-2.05, 1 O 2.02
Li: 0.2500 0.5320 0.3921  3 F 2.00-2.05, 1 O 2.02
Li: 0.7500 0.4680 0.6079  3 F 2.00-2.05, 1 O 2.02
Li: 0.2500 0.0320 0.1079  3 F 2.00-2.05, 1 O 2.02

***

--- B ---
First-principles (PBE+U) data for an optimized crystal structure of LiFe2OF3, as listed in the Materials Project.

Cell: 6.1761 10.8531 6.1841 Å, 106.54 59.96 106.45°
Last column: nearest neighbours and their distance in Å.
Fractional positions:
O: 0.5761 0.7265 0.5752  3 Fe 1.99, 1 Li 2.02
O: 0.2989 0.8985 0.2998  3 Fe 1.99, 1 Li 2.01
O: 0.0764 0.2266 0.0751  3 Fe 1.99, 1 Li 2.02
O: 0.7986 0.3984 0.7999  3 Fe 1.99, 1 Li 2.02
Li: 0.0101 0.0300 0.0100  3 F 1.98, 1 O 2.02
Li: 0.5101 0.5300 0.5100  3 F 1.98, 1 O 2.02
Li: 0.8649 0.5950 0.8650  3 F 1.98, 1 O 2.02
Li: 0.3649 0.0950 0.3650  3 F 1.98, 1 O 2.01
Fe: 0.4375 0.8125 0.4375  2 O 1.99
Fe: 0.9375 0.3125 0.4375  2 O 1.99
Fe: 0.4375 0.8125 0.9375  2 O 1.99
Fe: 0.9375 0.8125 0.4375  2 O 1.99
Fe: 0.9375 0.3125 0.9375  2 O 1.99
Fe: 0.1879 0.5626 0.1874  6 F 2.10-2.11
Fe: 0.4375 0.3125 0.9375  2 O 1.99
Fe: 0.6871 0.0624 0.6876  6 F 2.10-2.11
F: 0.3209 0.9498 0.8145  1 Li 1.98, 1 Fe 2.10
F: 0.3146 0.4506 0.3148  1 Li 1.98, 1 Fe 2.10
F: 0.8210 0.4499 0.3144  1 Li 1.98, 1 Fe 2.11
F: 0.5604 0.1744 0.5603  1 Li 1.98, 1 Fe 2.10
F: 0.5541 0.6752 0.0605  1 Li 1.98, 1 Fe 2.10
F: 0.8147 0.9506 0.8147  1 Li 1.98, 1 Fe 2.10
F: 0.0540 0.1751 0.5606  1 Li 1.98, 1 Fe 2.11
F: 0.8147 0.9505 0.3211  1 Li 1.98, 1 Fe 2.10
F: 0.3146 0.4505 0.8212  1 Li 1.98, 1 Fe 2.10
F: 0.0603 0.6744 0.0603  1 Li 1.98, 1 Fe 2.10
F: 0.0603 0.6745 0.5538  1 Li 1.98, 1 Fe 2.10
F: 0.5604 0.1745 0.0538  1 Li 1.98, 1 Fe 2.10

***

Stability check: which of them is most stable? B.